A relaxed structure of Mg2Sb. Source: Materials Project, functional PBE.

abc: 6.272 6.272 7.407
angles: 99.80 99.80 30.64
Element x y z (fractional)
Mg: 0.000 0.000 0.000
Mg: 0.072 0.072 0.612
Mg: 0.346 0.346 0.671
Mg: 0.697 0.697 0.326
Sb: 0.432 0.432 0.311
Sb: 0.709 0.709 0.918

Calculated values
Volume: 24.4 Å³/atom
SG: No. 8
DFT total energy: -2.50 eV/atom
Energy relative to the elements: -0.12 eV/atom